# UMo2O8 | Materials Project | PBE+U | relaxed
data_UMo2O8
_cell_length_a 7.581
_cell_length_b 20.386
_cell_length_c 4.145
_cell_angle_alpha 90.00
_cell_angle_beta 90.00
_cell_angle_gamma 90.00
_symmetry_space_group_name_H-M 'P 1'
_symmetry_Int_Tables_number 1
_symmetry_space_group_name_Hall 'P 1'
loop_
_atom_site_label
_atom_site_type_symbol
_atom_site_fract_x
_atom_site_fract_y
_atom_site_fract_z
U1 U 0.250 0.001 0.000
U2 U 0.250 0.499 0.000
U3 U 0.750 0.501 0.000
U4 U 0.750 0.999 0.000
Mo1 Mo 0.000 0.158 0.086
Mo2 Mo 0.000 0.342 0.914
Mo3 Mo 0.000 0.658 0.086
Mo4 Mo 0.000 0.842 0.914
Mo5 Mo 0.500 0.158 0.914
Mo6 Mo 0.500 0.342 0.086
Mo7 Mo 0.500 0.658 0.914
Mo8 Mo 0.500 0.842 0.086
O1 O 0.002 0.160 0.505
O2 O 0.002 0.340 0.495
O3 O 0.003 0.560 0.011
O4 O 0.003 0.940 0.989
O5 O 0.006 0.250 0.000
O6 O 0.250 0.141 0.000
O7 O 0.250 0.359 0.000
O8 O 0.250 0.503 0.500
O9 O 0.250 0.646 0.000
O10 O 0.250 0.854 0.000
O11 O 0.250 0.997 0.500
O12 O 0.494 0.250 0.000
O13 O 0.497 0.560 0.989
O14 O 0.497 0.940 0.011
O15 O 0.498 0.160 0.495
O16 O 0.498 0.340 0.505
O17 O 0.502 0.660 0.495
O18 O 0.502 0.840 0.505
O19 O 0.503 0.060 0.989
O20 O 0.503 0.440 0.011
O21 O 0.506 0.750 0.000
O22 O 0.750 0.003 0.500
O23 O 0.750 0.146 0.000
O24 O 0.750 0.354 0.000
O25 O 0.750 0.497 0.500
O26 O 0.750 0.641 0.000
O27 O 0.750 0.859 0.000
O28 O 0.994 0.750 0.000
O29 O 0.997 0.060 0.011
O30 O 0.997 0.440 0.989
O31 O 0.998 0.660 0.505
O32 O 0.998 0.840 0.495
# magnetic moment = 8.00 μB/cell
# space group = Pban (50)

=====

# SrCa7Mn6Cr2O20 | Materials Project | PBE+U | relaxed
data_SrCa7Mn6Cr2O20
_cell_length_a 11.016
_cell_length_b 11.138
_cell_length_c 15.479
_cell_angle_alpha 90.03
_cell_angle_beta 90.41
_cell_angle_gamma 91.38
_symmetry_space_group_name_H-M 'P 1'
_symmetry_Int_Tables_number 1
_symmetry_space_group_name_Hall 'P 1'
loop_
_atom_site_label
_atom_site_type_symbol
_atom_site_fract_x
_atom_site_fract_y
_atom_site_fract_z
Sr1 Sr 0.000 0.000 0.000
Sr2 Sr 0.008 0.014 0.267
Sr3 Sr 0.234 0.756 0.274
Sr4 Sr 0.725 0.267 0.012
Ca1 Ca 0.008 0.014 0.768
Ca2 Ca 0.009 0.988 0.499
Ca3 Ca 0.010 0.490 0.499
Ca4 Ca 0.010 0.500 0.993
Ca5 Ca 0.010 0.513 0.767
Ca6 Ca 0.011 0.513 0.271
Ca7 Ca 0.230 0.755 0.775
Ca8 Ca 0.233 0.252 0.775
Ca9 Ca 0.237 0.254 0.279
Ca10 Ca 0.277 0.256 0.002
Ca11 Ca 0.278 0.258 0.508
Ca12 Ca 0.279 0.759 0.507
Ca13 Ca 0.280 0.757 0.002
Ca14 Ca 0.455 0.007 0.764
Ca15 Ca 0.455 0.506 0.271
Ca16 Ca 0.455 0.506 0.765
Ca17 Ca 0.461 0.008 0.271
Ca18 Ca 0.482 0.004 0.516
Ca19 Ca 0.482 0.006 0.009
Ca20 Ca 0.484 0.506 0.516
Ca21 Ca 0.487 0.508 0.013
Ca22 Ca 0.690 0.274 0.261
Ca23 Ca 0.692 0.774 0.260
Ca24 Ca 0.695 0.276 0.759
Ca25 Ca 0.696 0.777 0.758
Ca26 Ca 0.718 0.769 0.515
Ca27 Ca 0.719 0.269 0.515
Ca28 Ca 0.721 0.765 0.015
Mn1 Mn 0.241 0.001 0.636
Mn2 Mn 0.242 0.006 0.890
Mn3 Mn 0.242 0.501 0.636
Mn4 Mn 0.244 0.507 0.891
Mn5 Mn 0.479 0.258 0.140
Mn6 Mn 0.480 0.258 0.642
Mn7 Mn 0.481 0.758 0.642
Mn8 Mn 0.485 0.757 0.139
Mn9 Mn 0.490 0.261 0.388
Mn10 Mn 0.490 0.263 0.884
Mn11 Mn 0.493 0.761 0.387
Mn12 Mn 0.494 0.763 0.884
Mn13 Mn 0.724 0.003 0.136
Mn14 Mn 0.724 0.010 0.641
Mn15 Mn 0.724 0.509 0.641
Mn16 Mn 0.725 0.507 0.140
Mn17 Mn 0.729 0.022 0.892
Mn18 Mn 0.731 0.023 0.401
Mn19 Mn 0.732 0.520 0.399
Mn20 Mn 0.734 0.525 0.895
Mn21 Mn 0.963 0.797 0.644
Mn22 Mn 0.965 0.298 0.644
Mn23 Mn 0.992 0.739 0.886
Mn24 Mn 0.994 0.243 0.884
Cr1 Cr 0.240 0.506 0.392
Cr2 Cr 0.242 0.007 0.392
Cr3 Cr 0.246 0.493 0.135
Cr4 Cr 0.253 0.993 0.135
Cr5 Cr 0.967 0.792 0.145
Cr6 Cr 0.970 0.312 0.146
Cr7 Cr 0.995 0.736 0.393
Cr8 Cr 0.997 0.242 0.392
O1 O 0.001 0.719 0.255
O2 O 0.012 0.719 0.756
O3 O 0.016 0.221 0.755
O4 O 0.016 0.233 0.251
O5 O 0.068 0.454 0.134
O6 O 0.076 0.447 0.638
O7 O 0.076 0.946 0.638
O8 O 0.078 0.889 0.876
O9 O 0.080 0.391 0.876
O10 O 0.085 0.919 0.138
O11 O 0.089 0.395 0.379
O12 O 0.089 0.891 0.381
O13 O 0.135 0.646 0.420
O14 O 0.136 0.148 0.416
O15 O 0.139 0.141 0.912
O16 O 0.141 0.641 0.916
O17 O 0.235 0.534 0.261
O18 O 0.236 0.041 0.761
O19 O 0.237 0.545 0.761
O20 O 0.238 0.461 0.010
O21 O 0.238 0.967 0.515
O22 O 0.240 0.464 0.515
O23 O 0.242 0.041 0.260
O24 O 0.242 0.963 0.010
O25 O 0.317 0.341 0.154
O26 O 0.332 0.344 0.656
O27 O 0.332 0.844 0.656
O28 O 0.335 0.848 0.149
O29 O 0.350 0.369 0.868
O30 O 0.350 0.867 0.870
O31 O 0.352 0.366 0.374
O32 O 0.358 0.871 0.377
O33 O 0.375 0.614 0.112
O34 O 0.379 0.114 0.110
O35 O 0.381 0.111 0.616
O36 O 0.381 0.611 0.616
O37 O 0.386 0.121 0.904
O38 O 0.388 0.119 0.411
O39 O 0.388 0.618 0.409
O40 O 0.393 0.621 0.907
O41 O 0.481 0.221 0.266
O42 O 0.484 0.719 0.264
O43 O 0.486 0.219 0.762
O44 O 0.489 0.717 0.763
O45 O 0.493 0.298 0.009
O46 O 0.496 0.297 0.515
O47 O 0.497 0.794 0.515
O48 O 0.501 0.796 0.009
O49 O 0.575 0.404 0.161
O50 O 0.578 0.404 0.663
O51 O 0.578 0.904 0.662
O52 O 0.579 0.902 0.163
O53 O 0.605 0.408 0.363
O54 O 0.605 0.912 0.858
O55 O 0.610 0.908 0.363
O56 O 0.611 0.412 0.863
O57 O 0.635 0.167 0.889
O58 O 0.639 0.171 0.395
O59 O 0.643 0.670 0.393
O60 O 0.646 0.664 0.133
O61 O 0.648 0.675 0.892
O62 O 0.649 0.161 0.138
O63 O 0.650 0.167 0.633
O64 O 0.651 0.666 0.633
O65 O 0.754 0.476 0.517
O66 O 0.757 0.976 0.518
O67 O 0.759 0.971 0.010
O68 O 0.765 0.485 0.014
O69 O 0.837 0.408 0.704
O70 O 0.837 0.910 0.705
O71 O 0.841 0.399 0.202
O72 O 0.841 0.891 0.191
O73 O 0.879 0.105 0.877
O74 O 0.885 0.098 0.383
O75 O 0.890 0.586 0.383
O76 O 0.890 0.593 0.879
O77 O 0.937 0.774 0.512
O78 O 0.940 0.278 0.511
O79 O 0.943 0.755 0.022
O80 O 0.957 0.263 0.025
# magnetic moment = 120.00 μB/cell
# space group = P1 (1)

=====

# Ca3CoRhO6 | Materials Project | PBE+U | relaxed
data_Ca3CoRhO6
_cell_length_a 6.509
_cell_length_b 8.952
_cell_length_c 9.263
_cell_angle_alpha 90.24
_cell_angle_beta 90.21
_cell_angle_gamma 92.49
_symmetry_space_group_name_H-M 'P 1'
_symmetry_Int_Tables_number 1
_symmetry_space_group_name_Hall 'P 1'
loop_
_atom_site_label
_atom_site_type_symbol
_atom_site_fract_x
_atom_site_fract_y
_atom_site_fract_z
Ca1 Ca 0.000 0.000 0.000
Ca2 Ca 0.000 0.499 0.500
Ca3 Ca 0.137 0.180 0.318
Ca4 Ca 0.138 0.681 0.818
Ca5 Ca 0.362 0.818 0.451
Ca6 Ca 0.363 0.319 0.951
Ca7 Ca 0.500 0.499 0.269
Ca8 Ca 0.500 0.999 0.768
Ca9 Ca 0.637 0.180 0.451
Ca10 Ca 0.637 0.680 0.951
Ca11 Ca 0.862 0.818 0.317
Ca12 Ca 0.863 0.319 0.817
Co1 Co 0.000 0.999 0.641
Co2 Co 0.002 0.497 0.140
Co3 Co 0.499 0.001 0.127
Co4 Co 0.499 0.500 0.627
Rh1 Rh 0.249 0.749 0.134
Rh2 Rh 0.250 0.249 0.634
Rh3 Rh 0.750 0.249 0.135
Rh4 Rh 0.750 0.749 0.634
O1 O 0.047 0.776 0.568
O2 O 0.048 0.278 0.068
O3 O 0.156 0.619 0.303
O4 O 0.158 0.121 0.804
O5 O 0.198 0.940 0.239
O6 O 0.200 0.441 0.739
O7 O 0.299 0.058 0.530
O8 O 0.301 0.558 0.029
O9 O 0.341 0.377 0.464
O10 O 0.343 0.880 0.965
O11 O 0.452 0.221 0.200
O12 O 0.453 0.723 0.701
O13 O 0.546 0.276 0.701
O14 O 0.546 0.775 0.201
O15 O 0.658 0.622 0.464
O16 O 0.661 0.123 0.963
O17 O 0.701 0.940 0.530
O18 O 0.703 0.441 0.030
O19 O 0.797 0.058 0.239
O20 O 0.798 0.558 0.739
O21 O 0.838 0.375 0.307
O22 O 0.841 0.877 0.805
O23 O 0.953 0.223 0.568
O24 O 0.954 0.724 0.068
# magnetic moment = 0.00 μB/cell
# space group = P1 (1)

=====

# Li4Mn3Co2Ni3O16 | Materials Project | PBE+U | relaxed
data_Li4Mn3Co2Ni3O16
_cell_length_a 5.807
_cell_length_b 5.807
_cell_length_c 9.292
_cell_angle_alpha 91.37
_cell_angle_beta 91.37
_cell_angle_gamma 59.44
_symmetry_space_group_name_H-M 'P 1'
_symmetry_Int_Tables_number 1
_symmetry_space_group_name_Hall 'P 1'
loop_
_atom_site_label
_atom_site_type_symbol
_atom_site_fract_x
_atom_site_fract_y
_atom_site_fract_z
Li1 Li 0.000 0.000 0.000
Li2 Li 0.003 0.003 0.505
Li3 Li 0.332 0.332 0.600
Li4 Li 0.665 0.665 0.099
Mn1 Mn 0.166 0.657 0.283
Mn2 Mn 0.657 0.166 0.283
Mn3 Mn 0.826 0.826 0.783
Co1 Co 0.328 0.328 0.009
Co2 Co 0.659 0.659 0.514
Ni1 Ni 0.168 0.168 0.285
Ni2 Ni 0.338 0.828 0.785
Ni3 Ni 0.828 0.338 0.785
O1 O 0.039 0.488 0.150
O2 O 0.158 0.658 0.899
O3 O 0.167 0.167 0.901
O4 O 0.334 0.821 0.401
O5 O 0.339 0.339 0.391
O6 O 0.478 0.478 0.159
O7 O 0.488 0.039 0.150
O8 O 0.520 0.520 0.650
O9 O 0.528 0.956 0.649
O10 O 0.658 0.158 0.899
O11 O 0.668 0.668 0.888
O12 O 0.821 0.334 0.401
O13 O 0.834 0.834 0.394
O14 O 0.956 0.528 0.649
O15 O 0.992 0.992 0.190
O16 O 0.996 0.996 0.696
# magnetic moment = 13.00 μB/cell
# space group = Cm (8)

=====

Raw total energy across the listed records, respectively: -7.999, -7.017, -6.407, -5.825 eV per atom.